[1]
VASP calculation (GGA-PBE) on an optimized crystal structure of Bi2Pb3S6.

a = 7.1346 Å, b = 7.1346 Å, c = 20.9285 Å
α = 90.00°, β = 90.00°, γ = 146.52°
Last column: nearest neighbours and their distance in Å.
Fractional coordinates of all 22 atoms:
Bi: 0.0899 0.9101 0.3645  5 S 2.74-2.86
Bi: 0.9101 0.0899 0.6355  5 S 2.74-2.86
Bi: 0.0899 0.9101 0.1355  5 S 2.74-2.86
Bi: 0.9101 0.0899 0.8645  5 S 2.74-2.86
Pb: 0.3613 0.6387 0.4547  6 S 2.82-3.12
Pb: 0.6387 0.3613 0.5453  6 S 2.82-3.12
Pb: 0.3613 0.6387 0.0453  6 S 2.82-3.12
Pb: 0.6387 0.3613 0.9547  6 S 2.82-3.12
Pb: 0.8366 0.1634 0.2500  6 S 2.90-3.17
Pb: 0.1634 0.8366 0.7500  6 S 2.90-3.17
S: 0.1869 0.8131 0.2500  2 Bi 2.74, 2 Pb 2.90
S: 0.8131 0.1869 0.7500  2 Bi 2.74, 2 Pb 2.90
S: 0.4559 0.5441 0.3348  2 Bi 2.82, 1 Pb 2.82
S: 0.5441 0.4559 0.6652  2 Bi 2.82, 1 Pb 2.82
S: 0.4559 0.5441 0.1652  2 Bi 2.82, 1 Pb 2.82
S: 0.5441 0.4559 0.8348  2 Bi 2.82, 1 Pb 2.82
S: 0.7207 0.2793 0.4064  2 Bi 2.86, 3 Pb 2.99-3.12
S: 0.2793 0.7207 0.5936  2 Bi 2.86, 3 Pb 2.99-3.12
S: 0.7207 0.2793 0.0936  2 Bi 2.86, 3 Pb 2.99-3.12
S: 0.2793 0.7207 0.9064  2 Bi 2.86, 3 Pb 2.99-3.12
S: 0.0000 0.0000 0.5000  4 Pb 2.95, 2 Bi 3.09
S: 0.0000 0.0000 0.0000  4 Pb 2.95, 2 Bi 3.09

The corrected total energy (MP2020 scheme) is -4.6857 eV per atom. Its excess energy over the best structure of this formula in the dataset is 0.012 eV/atom. The value obtained for the calculated total energy is -4.411 eV per atom.

***

[2]
VASP calculation (GGA-PBE) on an optimized crystal structure of Bi2PbS4.

a = 4.1329 Å, b = 11.8954 Å, c = 14.6864 Å
α = 90.00°, β = 90.00°, γ = 90.00°
Last column: nearest neighbours and their distance in Å.
Fractional coordinates of all 28 atoms:
Bi: 0.2500 0.8977 0.0972  6 S 2.77-3.02
Bi: 0.7500 0.1023 0.9028  6 S 2.77-3.02
Bi: 0.7500 0.5673 0.1086  5 S 2.68-2.96
Bi: 0.2500 0.3977 0.4028  6 S 2.77-3.02
Bi: 0.7500 0.6023 0.5972  6 S 2.77-3.02
Bi: 0.2500 0.9327 0.6086  5 S 2.68-2.96
Bi: 0.2500 0.4327 0.8914  5 S 2.68-2.96
Bi: 0.7500 0.0673 0.3914  5 S 2.68-2.96
Pb: 0.7500 0.7461 0.8475  5 S 2.86-3.08
Pb: 0.2500 0.7539 0.3475  5 S 2.86-3.08
Pb: 0.2500 0.2539 0.1525  5 S 2.86-3.08
Pb: 0.7500 0.2461 0.6525  5 S 2.86-3.08
S: 0.7500 0.3363 0.0124  4 Bi 2.96-3.22, 2 Pb 3.08
S: 0.2500 0.7374 0.6995  1 Bi 2.68
S: 0.2500 0.9474 0.9095  3 Bi 2.77-2.82
S: 0.7500 0.8363 0.4876  4 Bi 2.96-3.22, 2 Pb 3.08
S: 0.7500 0.0526 0.0905  3 Bi 2.77-2.82
S: 0.7500 0.2626 0.3005  1 Bi 2.68
S: 0.2500 0.4474 0.5905  3 Bi 2.77-2.82
S: 0.2500 0.6637 0.9876  4 Bi 2.96-3.22, 2 Pb 3.08
S: 0.2500 0.4822 0.2126  3 Bi 2.76-2.97, 1 Pb 2.86
S: 0.2500 0.9822 0.2874  3 Bi 2.76-2.97, 1 Pb 2.86
S: 0.7500 0.5178 0.7874  3 Bi 2.76-2.97, 1 Pb 2.86
S: 0.2500 0.1637 0.5124  4 Bi 2.96-3.22, 2 Pb 3.08
S: 0.7500 0.0178 0.7126  3 Bi 2.76-2.97, 1 Pb 2.86
S: 0.7500 0.7626 0.1995  1 Bi 2.68
S: 0.2500 0.2374 0.8005  1 Bi 2.68
S: 0.7500 0.5526 0.4095  3 Bi 2.77-2.82

The corrected total energy (MP2020 scheme) is -4.6847 eV per atom. The value obtained for the calculated total energy is -4.397 eV per atom.

***

[3]
VASP calculation (GGA-PBE) on an optimized crystal structure of Bi2Pb3S6.

a = 7.1892 Å, b = 7.1892 Å, c = 21.0658 Å
α = 87.73°, β = 87.73°, γ = 33.37°
Last column: nearest neighbours and their distance in Å.
Fractional coordinates of all 22 atoms:
Bi: 0.4037 0.4037 0.1350  5 S 2.67-2.90
Bi: 0.8609 0.8609 0.5500  5 S 2.67-2.98
Bi: 0.1391 0.1391 0.4500  5 S 2.67-2.98
Bi: 0.5963 0.5963 0.8650  5 S 2.67-2.90
Pb: 0.5821 0.5821 0.6343  6 S 2.86-3.10
Pb: 0.4179 0.4179 0.3657  6 S 2.86-3.10
Pb: 0.8655 0.8655 0.9541  5 S 2.80-3.02
Pb: 0.6735 0.6735 0.2384  3 S 2.86-3.11
Pb: 0.1345 0.1345 0.0459  5 S 2.80-3.02
Pb: 0.3265 0.3265 0.7616  3 S 2.86-3.11
S: 0.3151 0.3151 0.2504  1 Bi 2.67, 3 Pb 2.86
S: 0.7671 0.7671 0.1014  2 Bi 2.90, 3 Pb 3.02-3.11
S: 0.7649 0.7649 0.4153  2 Bi 2.77, 2 Pb 3.10
S: 0.9415 0.9415 0.6634  1 Bi 2.67, 2 Pb 2.88
S: 0.6849 0.6849 0.7496  1 Bi 2.67, 3 Pb 2.86
S: 0.2351 0.2351 0.5847  2 Bi 2.77, 2 Pb 3.10
S: 0.5000 0.5000 0.0000  4 Pb 2.96, 2 Bi 3.09
S: 0.2329 0.2329 0.8986  2 Bi 2.90, 3 Pb 3.02-3.11
S: 0.0585 0.0585 0.3366  1 Bi 2.67, 2 Pb 2.88
S: 0.0346 0.0346 0.1644  1 Pb 2.80, 2 Bi 2.83
S: 0.5000 0.5000 0.5000  4 Bi 2.98, 2 Pb 3.09
S: 0.9654 0.9654 0.8356  1 Pb 2.80, 2 Bi 2.83

The corrected total energy (MP2020 scheme) is -4.6979 eV per atom. Its excess energy over the best structure of this formula in the dataset is 0.000 eV/atom. The value obtained for the calculated total energy is -4.424 eV per atom.

***

[4]
VASP calculation (GGA-PBE) on an optimized crystal structure of Bi4PbS7.

a = 6.9910 Å, b = 6.9910 Å, c = 12.3430 Å
α = 76.18°, β = 76.18°, γ = 33.79°
Last column: nearest neighbours and their distance in Å.
Fractional coordinates of all 12 atoms:
Bi: 0.8787 0.8787 0.9323  6 S 2.71-3.00
Bi: 0.1202 0.1202 0.0682  6 S 2.79-2.89
Bi: 0.9956 0.9956 0.4986  6 S 2.75-2.87
Bi: 0.6817 0.6817 0.6695  3 S 2.68-2.74
Pb: 0.3198 0.3198 0.3160  3 S 2.84-2.96
S: 0.2655 0.2655 0.8618  3 Bi 2.79-2.80
S: 0.7419 0.7419 0.1353  3 Bi 2.71-2.85
S: 0.0403 0.0403 0.7142  4 Bi 2.74-3.00
S: 0.9724 0.9724 0.2838  2 Bi 2.75-2.89, 2 Pb 2.84
S: 0.3405 0.3405 0.5493  4 Bi 2.86-3.04, 1 Pb 2.96
S: 0.6501 0.6501 0.4636  3 Bi 2.68-2.85
S: 0.5134 0.5134 0.9832  4 Bi 2.83-2.89

The corrected total energy (MP2020 scheme) is -4.6835 eV per atom. The value obtained for the calculated total energy is -4.390 eV per atom.

***

Copy entry 1 word for word.
VASP calculation (GGA-PBE) on an optimized crystal structure of Bi2Pb3S6.

a = 7.1346 Å, b = 7.1346 Å, c = 20.9285 Å
α = 90.00°, β = 90.00°, γ = 146.52°
Last column: nearest neighbours and their distance in Å.
Fractional coordinates of all 22 atoms:
Bi: 0.0899 0.9101 0.3645  5 S 2.74-2.86
Bi: 0.9101 0.0899 0.6355  5 S 2.74-2.86
Bi: 0.0899 0.9101 0.1355  5 S 2.74-2.86
Bi: 0.9101 0.0899 0.8645  5 S 2.74-2.86
Pb: 0.3613 0.6387 0.4547  6 S 2.82-3.12
Pb: 0.6387 0.3613 0.5453  6 S 2.82-3.12
Pb: 0.3613 0.6387 0.0453  6 S 2.82-3.12
Pb: 0.6387 0.3613 0.9547  6 S 2.82-3.12
Pb: 0.8366 0.1634 0.2500  6 S 2.90-3.17
Pb: 0.1634 0.8366 0.7500  6 S 2.90-3.17
S: 0.1869 0.8131 0.2500  2 Bi 2.74, 2 Pb 2.90
S: 0.8131 0.1869 0.7500  2 Bi 2.74, 2 Pb 2.90
S: 0.4559 0.5441 0.3348  2 Bi 2.82, 1 Pb 2.82
S: 0.5441 0.4559 0.6652  2 Bi 2.82, 1 Pb 2.82
S: 0.4559 0.5441 0.1652  2 Bi 2.82, 1 Pb 2.82
S: 0.5441 0.4559 0.8348  2 Bi 2.82, 1 Pb 2.82
S: 0.7207 0.2793 0.4064  2 Bi 2.86, 3 Pb 2.99-3.12
S: 0.2793 0.7207 0.5936  2 Bi 2.86, 3 Pb 2.99-3.12
S: 0.7207 0.2793 0.0936  2 Bi 2.86, 3 Pb 2.99-3.12
S: 0.2793 0.7207 0.9064  2 Bi 2.86, 3 Pb 2.99-3.12
S: 0.0000 0.0000 0.5000  4 Pb 2.95, 2 Bi 3.09
S: 0.0000 0.0000 0.0000  4 Pb 2.95, 2 Bi 3.09

The corrected total energy (MP2020 scheme) is -4.6857 eV per atom. Its excess energy over the best structure of this formula in the dataset is 0.012 eV/atom. The value obtained for the calculated total energy is -4.411 eV per atom.

***

Q: Which of these has the lowest corrected total energy (MP2020 scheme)?
A: number 3

***

Q: Which of these has the highest calculated total energy?
A: Bi4PbS7

***

Q: Which formula does entry 4 have?
A: Bi4PbS7